Compound: Li4Co2Ni3O10
Source: the Materials Project
Functional: PBE with a Hubbard U
Structure: relaxed

a = 4.993 Å, b = 5.054 Å, c = 7.581 Å
α = 101.70°, β = 108.81°, γ = 100.99°
Positions (direct):
Ni: 0.896 0.696 0.896
Ni: 0.500 0.000 0.000
Ni: 0.104 0.304 0.104
O: 0.523 0.787 0.769
O: 0.921 0.947 0.152
O: 0.701 0.324 0.938
O: 0.100 0.575 0.332
O: 0.079 0.053 0.848
O: 0.477 0.213 0.231
O: 0.900 0.425 0.668
O: 0.675 0.888 0.451
O: 0.325 0.112 0.549
O: 0.299 0.676 0.062
Li: 0.695 0.610 0.220
Li: 0.910 0.226 0.408
Li: 0.090 0.774 0.592
Li: 0.305 0.390 0.780
Co: 0.306 0.897 0.309
Co: 0.694 0.103 0.691

Output
Energy above the lowest structure with this stoichiometry = 0.000 eV/f.u.

Compound: Fe2CoO6
Source: the Materials Project
Functional: PBE with a Hubbard U
Structure: relaxed

a = 8.298 Å, b = 8.298 Å, c = 4.358 Å
α = 89.37°, β = 89.37°, γ = 60.48°
Positions (direct):
O: 0.884 0.536 0.730
O: 0.094 0.789 0.226
O: 0.225 0.545 0.731
O: 0.581 0.883 0.735
O: 0.455 0.775 0.269
O: 0.780 0.448 0.271
O: 0.464 0.116 0.270
O: 0.776 0.776 0.277
O: 0.896 0.890 0.756
O: 0.552 0.220 0.729
O: 0.224 0.224 0.723
O: 0.110 0.104 0.244
O: 0.211 0.906 0.774
O: 0.117 0.419 0.265
O: 0.424 0.453 0.259
O: 0.781 0.114 0.239
O: 0.547 0.576 0.741
O: 0.886 0.219 0.761
Co: 0.995 0.005 0.000
Co: 0.670 0.664 0.505
Co: 0.336 0.330 0.495
Fe: 0.000 0.644 0.995
Fe: 0.648 0.352 0.000
Fe: 0.356 0.000 0.005
Fe: 0.306 0.694 0.500
Fe: 0.683 0.000 0.502
Fe: 0.000 0.317 0.498

Output
Energy above the lowest structure with this stoichiometry = 0.280 eV/f.u.

Record order is preserved below.
ΔE_f: -1.458; -1.155 eV per atom